# Na10Nb2Al6Si7S5O48

Na10Nb2Al6Si7S5O48 after structural relaxation (PBE, Materials Project). Values from VASP.

## Properties
Its space group is No. 1. Its final energy is -6.7820 eV/atom. The value obtained for the total energy after the MP2020 corrections is -7.205 eV per atom. For the formation energy, the calculation gives -2.69 eV/atom.

```
&SYSTEM
  ibrav = 0, nat = 234, ntyp = 6
/
ATOMIC_SPECIES
Na 22.99 Na.upf
Nb 92.91 Nb.upf
Al 26.98 Al.upf
Si 28.09 Si.upf
S 32.06 S.upf
O 16.00 O.upf
CELL_PARAMETERS angstrom
8.748 0.000 0.000
-0.010 15.200 0.000
-0.030 -0.154 21.963
ATOMIC_POSITIONS crystal
Na 0.000 0.000 0.000
Na 0.000 0.301 0.670
Na 0.003 0.666 0.667
Na 0.037 0.653 0.326
Na 0.176 0.484 0.914
Na 0.176 0.831 0.251
Na 0.177 0.145 0.581
Na 0.180 0.478 0.413
Na 0.191 0.831 0.751
Na 0.195 0.153 0.085
Na 0.301 0.652 0.829
Na 0.360 0.663 0.163
Na 0.364 0.635 0.499
Na 0.369 0.004 0.498
Na 0.495 0.504 0.998
Na 0.500 0.134 0.000
Na 0.504 0.468 0.326
Na 0.505 0.162 0.662
Na 0.669 0.653 0.585
Na 0.669 0.982 0.913
Na 0.681 0.323 0.748
Na 0.682 0.320 0.250
Na 0.687 0.646 0.081
Na 0.688 0.985 0.412
Na 0.827 0.152 0.826
Na 0.861 0.164 0.164
Na 0.864 0.501 0.500
Na 0.865 0.802 0.171
Na 0.869 0.833 0.826
Na 0.871 0.471 0.829
Nb 0.169 0.156 0.934
Nb 0.189 0.820 0.099
Nb 0.199 0.816 0.605
Nb 0.666 0.316 0.105
Nb 0.676 0.319 0.598
Nb 0.698 0.657 0.433
Al 0.157 0.138 0.725
Al 0.162 0.490 0.767
Al 0.173 0.488 0.260
Al 0.174 0.821 0.396
Al 0.187 0.818 0.891
Al 0.188 0.145 0.225
Al 0.189 0.154 0.430
Al 0.190 0.498 0.561
Al 0.198 0.498 0.058
Al 0.665 0.997 0.558
Al 0.676 0.320 0.395
Al 0.676 0.997 0.061
Al 0.682 0.655 0.931
Al 0.684 0.316 0.896
Al 0.684 0.991 0.761
Al 0.688 0.649 0.724
Al 0.700 0.987 0.266
Al 0.709 0.638 0.227
Si 0.032 0.000 0.827
Si 0.033 0.623 0.161
Si 0.038 0.302 0.824
Si 0.045 0.676 0.495
Si 0.334 0.674 0.989
Si 0.339 0.623 0.668
Si 0.341 0.959 0.991
Si 0.387 0.326 0.991
Si 0.397 0.992 0.666
Si 0.468 0.492 0.168
Si 0.476 0.827 0.491
Si 0.522 0.461 0.492
Si 0.529 0.122 0.168
Si 0.533 0.173 0.488
Si 0.821 0.175 0.996
Si 0.829 0.806 0.324
Si 0.832 0.123 0.661
Si 0.836 0.496 0.328
Si 0.897 0.489 0.661
Si 0.965 0.654 0.830
Si 0.967 0.989 0.162
S 0.032 0.966 0.493
S 0.046 0.343 0.163
S 0.321 0.347 0.664
S 0.322 0.293 0.328
S 0.325 0.009 0.329
S 0.390 0.656 0.327
S 0.473 0.154 0.827
S 0.538 0.507 0.829
S 0.540 0.796 0.828
S 0.543 0.847 0.164
S 0.818 0.844 0.662
S 0.832 0.465 0.994
S 0.886 0.815 0.994
S 0.900 0.154 0.330
S 0.976 0.315 0.493
O 0.003 0.142 0.384
O 0.003 0.499 0.600
O 0.009 0.163 0.995
O 0.013 0.146 0.665
O 0.015 0.809 0.337
O 0.023 0.494 0.320
O 0.054 0.067 0.888
O 0.063 0.910 0.439
O 0.065 0.234 0.767
O 0.067 0.735 0.557
O 0.070 0.078 0.172
O 0.070 0.235 0.485
O 0.070 0.397 0.219
O 0.070 0.563 0.102
O 0.072 0.394 0.501
O 0.076 0.567 0.825
O 0.076 0.900 0.155
O 0.078 0.740 0.836
O 0.105 0.904 0.839
O 0.106 0.055 0.485
O 0.106 0.252 0.171
O 0.109 0.381 0.108
O 0.111 0.048 0.771
O 0.111 0.253 0.885
O 0.112 0.576 0.501
O 0.112 0.928 0.548
O 0.113 0.725 0.155
O 0.116 0.589 0.223
O 0.117 0.398 0.821
O 0.119 0.721 0.436
O 0.246 0.920 0.052
O 0.249 0.581 0.725
O 0.250 0.724 0.661
O 0.252 0.052 0.276
O 0.252 0.921 0.335
O 0.256 0.383 0.325
O 0.256 0.721 0.931
O 0.257 0.252 0.384
O 0.257 0.386 0.608
O 0.257 0.578 0.999
O 0.260 0.256 0.668
O 0.262 0.059 0.987
O 0.278 0.906 0.658
O 0.279 0.409 0.005
O 0.286 0.239 0.274
O 0.290 0.734 0.333
O 0.292 0.574 0.325
O 0.292 0.899 0.935
O 0.293 0.063 0.386
O 0.293 0.081 0.673
O 0.298 0.232 0.989
O 0.298 0.400 0.719
O 0.304 0.735 0.052
O 0.307 0.575 0.603
O 0.342 0.471 0.504
O 0.345 0.161 0.484
O 0.350 0.143 0.175
O 0.355 0.843 0.436
O 0.363 0.471 0.227
O 0.366 0.805 0.553
O 0.370 0.835 0.159
O 0.371 0.505 0.105
O 0.371 0.805 0.833
O 0.372 0.497 0.823
O 0.378 0.167 0.773
O 0.382 0.141 0.884
O 0.485 0.640 0.383
O 0.486 0.667 0.273
O 0.490 0.006 0.603
O 0.491 0.002 0.324
O 0.492 0.302 0.332
O 0.495 0.335 0.660
O 0.498 0.306 0.053
O 0.506 0.970 0.724
O 0.507 0.343 0.936
O 0.519 0.644 0.676
O 0.521 0.971 0.004
O 0.522 0.660 0.984
O 0.560 0.075 0.102
O 0.560 0.234 0.553
O 0.560 0.562 0.886
O 0.563 0.405 0.432
O 0.564 0.899 0.219
O 0.566 0.732 0.488
O 0.567 0.739 0.775
O 0.572 0.581 0.174
O 0.575 0.074 0.824
O 0.575 0.234 0.833
O 0.585 0.406 0.159
O 0.585 0.909 0.504
O 0.602 0.560 0.487
O 0.604 0.756 0.168
O 0.608 0.755 0.884
O 0.608 0.887 0.108
O 0.609 0.077 0.498
O 0.613 0.549 0.776
O 0.613 0.884 0.824
O 0.615 0.419 0.835
O 0.617 0.224 0.162
O 0.617 0.225 0.434
O 0.619 0.419 0.550
O 0.623 0.079 0.224
O 0.743 0.901 0.321
O 0.744 0.545 0.274
O 0.746 0.219 0.936
O 0.750 0.090 0.724
O 0.750 0.225 0.655
O 0.750 0.401 0.338
O 0.752 0.075 0.000
O 0.753 0.754 0.668
O 0.754 0.424 0.048
O 0.754 0.553 0.989
O 0.754 0.753 0.385
O 0.756 0.885 0.608
O 0.789 0.399 0.655
O 0.790 0.736 0.988
O 0.791 0.895 0.002
O 0.792 0.577 0.668
O 0.793 0.064 0.603
O 0.795 0.896 0.720
O 0.797 0.235 0.057
O 0.799 0.735 0.268
O 0.800 0.411 0.937
O 0.804 0.073 0.326
O 0.804 0.233 0.336
O 0.808 0.564 0.389
O 0.842 0.992 0.821
O 0.849 0.311 0.837
O 0.849 0.636 0.887
O 0.851 0.644 0.166
O 0.856 0.663 0.494
O 0.859 0.672 0.769
O 0.863 0.962 0.220
O 0.865 0.002 0.100
O 0.868 0.973 0.501
O 0.872 0.334 0.441
O 0.873 0.333 0.160
O 0.885 0.299 0.551
O 0.980 0.801 0.051
O 0.984 0.832 0.941
O 0.990 0.833 0.659
O 0.995 0.166 0.273
O 0.995 0.465 0.722
O 0.995 0.472 0.001
```



# Ca3CrN3

Ca3CrN3 after structural relaxation (PBE, Materials Project). Values from VASP.

## Properties
Its space group is No. 63. Its final energy is -6.7340 eV/atom. The value obtained for the total energy after the MP2020 corrections is -6.889 eV per atom. For the formation energy, the calculation gives -1.08 eV/atom.

```
&SYSTEM
  ibrav = 0, nat = 14, ntyp = 3
/
ATOMIC_SPECIES
Ca 40.08 Ca.upf
Cr 52.00 Cr.upf
N 14.01 N.upf
CELL_PARAMETERS angstrom
4.219 -5.140 0.000
4.219 5.140 0.000
0.000 0.000 5.061
ATOMIC_POSITIONS crystal
Ca 0.107 0.893 0.750
Ca 0.170 0.404 0.750
Ca 0.404 0.170 0.250
Ca 0.596 0.830 0.750
Ca 0.830 0.596 0.250
Ca 0.893 0.107 0.250
Cr 0.304 0.696 0.250
Cr 0.696 0.304 0.750
N 0.127 0.873 0.250
N 0.182 0.434 0.250
N 0.434 0.182 0.750
N 0.566 0.818 0.250
N 0.818 0.566 0.750
N 0.873 0.127 0.750
```



# Pr2Sn5

Pr2Sn5 after structural relaxation (PBE, Materials Project). Values from VASP.

## Properties
Its space group is No. 65. Its final energy is -4.7730 eV/atom. For the formation energy, the calculation gives -0.54 eV/atom.

```
&SYSTEM
  ibrav = 0, nat = 14, ntyp = 2
/
ATOMIC_SPECIES
Pr 140.91 Pr.upf
Sn 118.71 Sn.upf
CELL_PARAMETERS angstrom
2.332 -17.826 0.000
2.332 17.826 0.000
0.000 0.000 4.706
ATOMIC_POSITIONS crystal
Pr 0.068 0.932 0.000
Pr 0.202 0.798 0.000
Pr 0.798 0.202 0.000
Pr 0.932 0.068 0.000
Sn 0.000 0.000 0.500
Sn 0.138 0.862 0.500
Sn 0.279 0.721 0.500
Sn 0.363 0.637 0.000
Sn 0.429 0.571 0.500
Sn 0.500 0.500 0.000
Sn 0.571 0.429 0.500
Sn 0.637 0.363 0.000
Sn 0.721 0.279 0.500
Sn 0.862 0.138 0.500
```



# CuNCl3

CuNCl3 after structural relaxation (PBE, Materials Project). Values from VASP.

## Properties
Its space group is No. 14. Its final energy is -2.8077 eV/atom. The value obtained for the total energy after the MP2020 corrections is -3.176 eV per atom. For the formation energy, the calculation gives 0.42 eV/atom.

```
&SYSTEM
  ibrav = 0, nat = 20, ntyp = 3
/
ATOMIC_SPECIES
Cu 63.55 Cu.upf
N 14.01 N.upf
Cl 35.45 Cl.upf
CELL_PARAMETERS angstrom
4.254 0.000 0.000
0.000 14.021 0.000
-2.455 0.000 9.245
ATOMIC_POSITIONS crystal
Cu 0.230 0.047 0.151
Cu 0.230 0.453 0.651
Cu 0.770 0.547 0.349
Cu 0.770 0.953 0.849
N 0.211 0.675 0.938
N 0.211 0.825 0.438
N 0.789 0.175 0.562
N 0.789 0.325 0.062
Cl 0.170 0.594 0.538
Cl 0.170 0.906 0.038
Cl 0.267 0.186 0.244
Cl 0.267 0.314 0.744
Cl 0.357 0.005 0.688
Cl 0.357 0.495 0.188
Cl 0.643 0.505 0.812
Cl 0.643 0.995 0.312
Cl 0.733 0.686 0.256
Cl 0.733 0.814 0.756
Cl 0.830 0.094 0.962
Cl 0.830 0.406 0.462
```



# MgInSe3

MgInSe3 after structural relaxation (PBE, Materials Project). Values from VASP.

## Properties
Its space group is No. 12. Its final energy is -3.4677 eV/atom. The value obtained for the total energy after the MP2020 corrections is -3.751 eV per atom. For the formation energy, the calculation gives -0.78 eV/atom. The value obtained for the energy relative to the lowest polymorph listed for this composition is 0.0 meV/atom.

```
&SYSTEM
  ibrav = 0, nat = 10, ntyp = 3
/
ATOMIC_SPECIES
Mg 24.30 Mg.upf
In 114.82 In.upf
Se 78.96 Se.upf
CELL_PARAMETERS angstrom
3.310 -5.671 0.000
3.310 5.671 0.000
-2.364 0.000 7.671
ATOMIC_POSITIONS crystal
Mg 0.168 0.832 0.000
Mg 0.832 0.168 0.000
In 0.419 0.419 0.761
In 0.581 0.581 0.239
Se 0.030 0.419 0.763
Se 0.195 0.195 0.242
Se 0.419 0.030 0.763
Se 0.581 0.970 0.237
Se 0.805 0.805 0.758
Se 0.970 0.581 0.237
```